No. 1
Material: Mn10CuGe5
Method: DFT, PBE-GGA
State: relaxed

Summary:
ΔH_f (0 K) ... -43.6 meV per atom
V ... 13.27 A^3/atom
Space group ... I422

Cell: 7.0626 7.0626 7.0626 Å, 96.68 96.68 140.11°
Sites, in units of the cell vectors:
Mn  0.5000  0.0000  0.5000
Mn  0.0000  0.5000  0.5000
Mn  0.4774  0.3304  0.3035
Mn  0.0269  0.1740  0.6965
Mn  0.5226  0.8260  0.8530
Mn  0.9731  0.6696  0.1470
Mn  0.3304  0.0269  0.8530
Mn  0.1740  0.4774  0.1470
Mn  0.8260  0.9731  0.3035
Mn  0.6696  0.5226  0.6965
Cu  0.0000  0.0000  0.0000
Ge  0.5880  0.0880  0.1761
Ge  0.9120  0.4120  0.8239
Ge  0.4120  0.5880  0.5000
Ge  0.0880  0.9120  0.5000
Ge  0.5000  0.5000  0.0000

No. 2
Material: Mn2Cu3Ge
Method: DFT, PBE-GGA
State: relaxed

Summary:
ΔH_f (0 K) ... 80.1 meV per atom
V ... 13.45 A^3/atom
Space group ... P6_3/mmc

Cell: 4.8971 4.8971 7.7712 Å, 90.00 90.00 120.00°
Sites, in units of the cell vectors:
Mn  0.3333  0.6667  0.4403
Mn  0.6667  0.3333  0.5597
Mn  0.6667  0.3333  0.9403
Mn  0.3333  0.6667  0.0597
Cu  0.8279  0.1721  0.2500
Cu  0.8279  0.6559  0.2500
Cu  0.3441  0.1721  0.2500
Cu  0.1721  0.8279  0.7500
Cu  0.1721  0.3441  0.7500
Cu  0.6559  0.8279  0.7500
Ge  0.0000  0.0000  0.5000
Ge  0.0000  0.0000  0.0000

No. 3
Material: Nd2Mn2CuGe3
Method: DFT, PBE-GGA
State: relaxed

Summary:
ΔH_f (0 K) ... -346.9 meV per atom
V ... 19.97 A^3/atom
Space group ... Amm2

Cell: 4.1812 4.1026 9.5472 Å, 90.00 77.35 90.00°
Sites, in units of the cell vectors:
Nd  0.1014  0.7500  0.7972
Nd  0.9012  0.2500  0.1976
Mn  0.7474  0.7500  0.5052
Mn  0.2491  0.2500  0.5019
Cu  0.6703  0.2500  0.6594
Ge  0.4642  0.7500  0.0716
Ge  0.5415  0.2500  0.9170
Ge  0.3249  0.7500  0.3502

> Among the records above, which one has the highest V?

Nd2Mn2CuGe3

Copy entry 2 word for word.
Material: Mn2Cu3Ge
Method: DFT, PBE-GGA
State: relaxed

Summary:
ΔH_f (0 K) ... 80.1 meV per atom
V ... 13.45 A^3/atom
Space group ... P6_3/mmc

Cell: 4.8971 4.8971 7.7712 Å, 90.00 90.00 120.00°
Sites, in units of the cell vectors:
Mn  0.3333  0.6667  0.4403
Mn  0.6667  0.3333  0.5597
Mn  0.6667  0.3333  0.9403
Mn  0.3333  0.6667  0.0597
Cu  0.8279  0.1721  0.2500
Cu  0.8279  0.6559  0.2500
Cu  0.3441  0.1721  0.2500
Cu  0.1721  0.8279  0.7500
Cu  0.1721  0.3441  0.7500
Cu  0.6559  0.8279  0.7500
Ge  0.0000  0.0000  0.5000
Ge  0.0000  0.0000  0.0000

> What is the formula in the first record?

Mn10CuGe5

> ΔH_f (0 K) of number 2 (Mn2Cu3Ge)?

80.1 meV per atom